ZnS | PBE | optimized geometry

POSCAR file:
```
ZnS
1.0
-1.924 -3.333 0.000
-1.924 3.333 0.000
0.000 0.000 -6.317
Zn S
2 2
Direct
0.333 0.667 0.500
0.667 0.333 0.000
0.333 0.667 0.874
0.667 0.333 0.374
```

Calculated values
SG: P6_3mc (186)
formation energy: -1059.9 meV per atom
maximum piezoelectric response: 0.1 C/m2